## one
Density functional theory data (GGA-PBE) for a relaxed NbCr3Cu2S8 crystal.

```
NbCr3Cu2S8
1.0
3.4501 0.0000 0.0000
0.0000 11.0737 0.0000
0.0000 0.0000 12.5768
Nb Cr Cu S
2 6 4 16
Direct
0.0000 0.2084 0.0000 Nb
0.5000 0.7916 0.5000 Nb
0.0000 0.1587 0.5299 Cr
0.0000 0.6534 0.2039 Cr
0.0000 0.7029 0.7443 Cr
0.5000 0.2971 0.2443 Cr
0.5000 0.3466 0.7039 Cr
0.5000 0.8413 0.0299 Cr
0.0000 0.5076 0.9070 Cu
0.0000 0.9811 0.7620 Cu
0.5000 0.0189 0.2620 Cu
0.5000 0.4924 0.4070 Cu
0.0000 0.1531 0.1912 S
0.0000 0.3107 0.8325 S
0.0000 0.3651 0.5761 S
0.0000 0.4426 0.2847 S
0.0000 0.6449 0.5621 S
0.0000 0.8187 0.9046 S
0.0000 0.8648 0.1665 S
0.0000 0.9439 0.4628 S
0.5000 0.0561 0.9628 S
0.5000 0.1352 0.6665 S
0.5000 0.1813 0.4046 S
0.5000 0.3551 0.0621 S
0.5000 0.5574 0.7847 S
0.5000 0.6349 0.0761 S
0.5000 0.6893 0.3325 S
0.5000 0.8469 0.6912 S
```

Calculated values
As for the spin magnetization: 18.002 μB per cell.

## two
Density functional theory data (GGA-PBE) for a relaxed NbCr3Cu2S8 crystal.

```
NbCr3Cu2S8
1.0
5.7258 0.0000 0.0000
0.0000 7.0814 0.0000
-0.1112 0.0000 12.0343
Nb Cr Cu S
2 6 4 16
Direct
0.0217 0.2500 0.2490 Nb
0.9783 0.7500 0.7510 Nb
0.0000 0.0000 0.5000 Cr
0.0000 0.5000 0.5000 Cr
0.4829 0.2500 0.7432 Cr
0.5000 0.0000 0.0000 Cr
0.5000 0.5000 0.0000 Cr
0.5171 0.7500 0.2568 Cr
0.0936 0.2500 0.9076 Cu
0.3919 0.2500 0.4059 Cu
0.6081 0.7500 0.5941 Cu
0.9064 0.7500 0.0924 Cu
0.2192 0.7500 0.5802 S
0.2352 0.2500 0.5816 S
0.2398 0.5136 0.3321 S
0.2398 0.9864 0.3321 S
0.2608 0.2500 0.0831 S
0.2696 0.5052 0.8305 S
0.2696 0.9948 0.8305 S
0.2958 0.7500 0.0876 S
0.7042 0.2500 0.9124 S
0.7304 0.0052 0.1695 S
0.7304 0.4948 0.1695 S
0.7392 0.7500 0.9169 S
0.7602 0.0136 0.6679 S
0.7602 0.4864 0.6679 S
0.7648 0.7500 0.4184 S
0.7808 0.2500 0.4198 S
```

Calculated values
As for the spin magnetization: 17.997 μB per cell.

## three
Density functional theory data (GGA-PBE) for a relaxed NbCr3Cu2S8 crystal.

```
NbCr3Cu2S8
1.0
11.8588 0.0000 0.0000
0.0000 6.9724 0.0000
-0.0069 0.0000 11.3917
Nb Cr Cu S
4 12 8 32
Direct
0.0000 0.1192 0.0000 Nb
0.0000 0.8808 0.5000 Nb
0.3523 0.3656 0.5443 Nb
0.3523 0.6344 0.0443 Nb
0.1991 0.1458 0.7723 Cr
0.1991 0.8542 0.2723 Cr
0.2422 0.3937 0.2399 Cr
0.2422 0.6063 0.7399 Cr
0.4883 0.1346 0.3004 Cr
0.4883 0.8654 0.8004 Cr
0.6946 0.1086 0.5473 Cr
0.6946 0.8914 0.0473 Cr
0.7223 0.3952 0.0629 Cr
0.7223 0.6048 0.5629 Cr
0.8501 0.3661 0.7831 Cr
0.8501 0.6339 0.2831 Cr
0.3569 0.0950 0.0314 Cu
0.3569 0.9050 0.5314 Cu
0.5126 0.3593 0.8184 Cu
0.5126 0.6407 0.3184 Cu
0.8406 0.1192 0.2864 Cu
0.8406 0.8808 0.7864 Cu
0.9899 0.3740 0.5174 Cu
0.9899 0.6260 0.0174 Cu
0.0303 0.1297 0.3752 S
0.0303 0.8703 0.8752 S
0.0443 0.3676 0.8658 S
0.0443 0.6324 0.3658 S
0.1593 0.3711 0.6213 S
0.1593 0.6289 0.1213 S
0.1636 0.1222 0.1277 S
0.1636 0.8778 0.6277 S
0.2949 0.1497 0.3767 S
0.2949 0.8503 0.8767 S
0.3125 0.3851 0.8793 S
0.3125 0.6149 0.3793 S
0.3938 0.1218 0.6838 S
0.3938 0.8782 0.1838 S
0.4141 0.3595 0.1562 S
0.4141 0.6405 0.6562 S
0.5363 0.0843 0.9412 S
0.5363 0.9157 0.4412 S
0.5426 0.3687 0.4397 S
0.5426 0.6313 0.9397 S
0.6606 0.1359 0.1906 S
0.6606 0.8641 0.6906 S
0.6684 0.3579 0.6922 S
0.6684 0.6421 0.1922 S
0.7950 0.1488 0.9351 S
0.7950 0.8512 0.4351 S
0.8113 0.3850 0.4255 S
0.8113 0.6150 0.9255 S
0.8834 0.1129 0.6399 S
0.8834 0.8871 0.1399 S
0.9006 0.3849 0.1477 S
0.9006 0.6151 0.6477 S
```

Calculated values
As for the spin magnetization: 33.997 μB per cell.

Verdict on stability: two comes out on top.

## one
Density functional theory data (GGA-PBE) for a relaxed NbCr3Cu2S8 crystal.

```
NbCr3Cu2S8
1.0
3.3893 0.0000 0.0000
0.0000 11.0790 0.0000
0.0000 0.0000 12.4406
Nb Cr Cu S
2 6 4 16
Direct
0.0000 0.1640 0.0000 Nb
0.5000 0.8360 0.5000 Nb
0.0000 0.1971 0.5471 Cr
0.0000 0.6719 0.3439 Cr
0.0000 0.6853 0.8128 Cr
0.5000 0.3147 0.3128 Cr
0.5000 0.3281 0.8439 Cr
0.5000 0.8029 0.0471 Cr
0.0000 0.4670 0.6108 Cu
0.0000 0.9625 0.7657 Cu
0.5000 0.0375 0.2657 Cu
0.5000 0.5330 0.1108 Cu
0.0000 0.1672 0.3606 S
0.0000 0.3000 0.7179 S
0.0000 0.3770 0.9738 S
0.0000 0.4566 0.2668 S
0.0000 0.6536 0.0004 S
0.0000 0.8049 0.6433 S
0.0000 0.8853 0.3598 S
0.0000 0.9450 0.0827 S
0.5000 0.0550 0.5827 S
0.5000 0.1147 0.8598 S
0.5000 0.1951 0.1433 S
0.5000 0.3464 0.5004 S
0.5000 0.5434 0.7668 S
0.5000 0.6230 0.4738 S
0.5000 0.7000 0.2179 S
0.5000 0.8328 0.8606 S
```

Calculated values
As for the spin magnetization: 15.922 μB per cell.

## two
Density functional theory data (GGA-PBE) for a relaxed NbCr3Cu2S8 crystal.

```
NbCr3Cu2S8
1.0
7.0818 0.0000 0.0000
0.0000 5.7219 0.0000
0.0000 0.0000 12.0832
Nb Cr Cu S
2 6 4 16
Direct
0.0000 0.2272 0.0000 Nb
0.0000 0.7728 0.5000 Nb
0.2535 0.2547 0.2557 Cr
0.2535 0.7453 0.7557 Cr
0.5000 0.2677 0.5127 Cr
0.5000 0.7323 0.0127 Cr
0.7465 0.2547 0.2557 Cr
0.7465 0.7453 0.7557 Cr
0.0000 0.1465 0.6551 Cu
0.0000 0.8535 0.1551 Cu
0.5000 0.3374 0.8455 Cu
0.5000 0.6626 0.3455 Cu
0.0000 0.0131 0.3369 S
0.0000 0.4666 0.1740 S
0.0000 0.5334 0.6740 S
0.0000 0.9869 0.8369 S
0.2460 0.4827 0.4247 S
0.2460 0.5173 0.9247 S
0.2643 0.0122 0.0873 S
0.2643 0.9878 0.5873 S
0.5000 0.0504 0.3451 S
0.5000 0.4914 0.1764 S
0.5000 0.5086 0.6764 S
0.5000 0.9496 0.8451 S
0.7357 0.0122 0.0873 S
0.7357 0.9878 0.5873 S
0.7540 0.4827 0.4247 S
0.7540 0.5173 0.9247 S
```

Calculated values
As for the spin magnetization: 17.997 μB per cell.

## three
Density functional theory data (GGA-PBE) for a relaxed NbCr3Cu2S8 crystal.

```
NbCr3Cu2S8
1.0
5.9404 0.0000 0.0000
0.0000 3.4458 0.0000
-0.1356 0.0000 11.4054
Nb Cr Cu S
1 3 2 8
Direct
0.0000 0.0000 0.0000 Nb
0.4184 0.5000 0.0121 Cr
0.4795 0.5000 0.4945 Cr
0.9402 0.0000 0.5147 Cr
0.4660 0.5000 0.7492 Cu
0.9601 0.0000 0.2574 Cu
0.1175 0.5000 0.3960 S
0.1297 0.5000 0.8647 S
0.3021 0.0000 0.6112 S
0.3028 0.0000 0.1424 S
0.6048 0.0000 0.8984 S
0.6307 0.0000 0.3804 S
0.7818 0.5000 0.1185 S
0.7919 0.5000 0.6305 S
```

Calculated values
As for the spin magnetization: 7.535 μB per cell.

Verdict on stability: two comes out on top.

## one
Density functional theory data (GGA-PBE) for a relaxed NbCr3Cu2S8 crystal.

```
NbCr3Cu2S8
1.0
6.3681 0.0000 0.0000
-0.0586 7.3175 0.0000
-1.0130 -1.7661 12.0037
Nb Cr Cu S
2 6 4 16
Direct
0.0000 0.0000 0.0000 Nb
0.2286 0.8505 0.3984 Nb
0.1024 0.1798 0.6992 Cr
0.2419 0.3487 0.4047 Cr
0.4923 0.7360 0.9915 Cr
0.4932 0.2537 0.9924 Cr
0.6130 0.4176 0.6970 Cr
0.7059 0.5954 0.4060 Cr
0.1091 0.6647 0.7018 Cu
0.6090 0.9215 0.6958 Cu
0.7258 0.0988 0.4070 Cu
0.9828 0.4935 0.9911 Cu
0.0361 0.5741 0.3314 S
0.0443 0.0856 0.3268 S
0.1754 0.7551 0.0695 S
0.1759 0.2751 0.0722 S
0.2484 0.8947 0.5916 S
0.2632 0.3900 0.5939 S
0.4538 0.2024 0.8028 S
0.4669 0.6950 0.8044 S
0.5514 0.3267 0.3312 S
0.5569 0.8319 0.3247 S
0.6604 0.0124 0.0681 S
0.6679 0.5158 0.0669 S
0.7580 0.6378 0.5922 S
0.7610 0.1493 0.5976 S
0.9544 0.4432 0.7995 S
0.9667 0.9500 0.8080 S
```

Calculated values
As for the spin magnetization: 18.000 μB per cell.

## two
Density functional theory data (GGA-PBE) for a relaxed NbCr3Cu2S8 crystal.

```
NbCr3Cu2S8
1.0
3.4078 0.0000 0.0000
0.0000 12.4259 0.0000
0.0000 0.0000 11.1032
Nb Cr Cu S
2 6 4 16
Direct
0.0000 0.1766 0.0000 Nb
0.0000 0.8234 0.5000 Nb
0.0000 0.3697 0.5223 Cr
0.0000 0.6303 0.0223 Cr
0.5000 0.1350 0.6414 Cr
0.5000 0.3340 0.1654 Cr
0.5000 0.6660 0.6654 Cr
0.5000 0.8650 0.1414 Cr
0.0000 0.4248 0.8049 Cu
0.0000 0.5752 0.3049 Cu
0.5000 0.0916 0.3627 Cu
0.5000 0.9084 0.8627 Cu
0.0000 0.0890 0.7806 S
0.0000 0.1821 0.4921 S
0.0000 0.1997 0.2136 S
0.0000 0.4615 0.1404 S
0.0000 0.5385 0.6404 S
0.0000 0.8003 0.7136 S
0.0000 0.8179 0.9921 S
0.0000 0.9110 0.2806 S
0.5000 0.0339 0.0244 S
0.5000 0.3163 0.9529 S
0.5000 0.3220 0.6727 S
0.5000 0.4077 0.3793 S
0.5000 0.5923 0.8793 S
0.5000 0.6780 0.1727 S
0.5000 0.6837 0.4529 S
0.5000 0.9661 0.5244 S
```

Calculated values
As for the spin magnetization: 16.068 μB per cell.

## three
Density functional theory data (GGA-PBE) for a relaxed NbCr3Cu2S8 crystal.

```
NbCr3Cu2S8
1.0
7.1641 0.0000 0.0000
0.0000 9.8397 0.0000
0.0000 0.0000 7.0174
Nb Cr Cu S
2 6 4 16
Direct
0.0254 0.0000 0.0000 Nb
0.9746 0.0000 0.5000 Nb
0.2495 0.2487 0.2459 Cr
0.2495 0.7513 0.7541 Cr
0.4992 0.5000 0.5000 Cr
0.5008 0.5000 0.0000 Cr
0.7505 0.2487 0.2541 Cr
0.7505 0.7513 0.7459 Cr
0.0000 0.3871 0.7500 Cu
0.0000 0.6129 0.2500 Cu
0.5000 0.1389 0.7500 Cu
0.5000 0.8611 0.2500 Cu
0.0028 0.2503 0.4842 S
0.0028 0.7497 0.5158 S
0.2466 0.0003 0.2580 S
0.2466 0.9997 0.7420 S
0.2707 0.4909 0.2493 S
0.2707 0.5091 0.7507 S
0.4971 0.2579 0.4762 S
0.4971 0.7421 0.5238 S
0.5029 0.2579 0.0238 S
0.5029 0.7421 0.9762 S
0.7293 0.4909 0.2507 S
0.7293 0.5091 0.7493 S
0.7534 0.0003 0.2420 S
0.7534 0.9997 0.7580 S
0.9972 0.2503 0.0158 S
0.9972 0.7497 0.9842 S
```

Calculated values
As for the spin magnetization: 17.375 μB per cell.

Verdict on stability: three comes out on top.

## one
Density functional theory data (GGA-PBE) for a relaxed NbCr3Cu2S8 crystal.

```
NbCr3Cu2S8
1.0
3.4241 0.0000 0.0000
0.0000 12.0455 0.0000
0.0000 0.0000 11.4080
Nb Cr Cu S
2 6 4 16
Direct
0.0000 0.0363 0.0000 Nb
0.0000 0.9637 0.5000 Nb
0.0000 0.3289 0.5343 Cr
0.0000 0.6711 0.0343 Cr
0.5000 0.1864 0.7627 Cr
0.5000 0.4548 0.2937 Cr
0.5000 0.5452 0.7937 Cr
0.5000 0.8136 0.2627 Cr
0.0000 0.1952 0.2718 Cu
0.0000 0.8048 0.7718 Cu
0.5000 0.3364 0.0296 Cu
0.5000 0.6636 0.5296 Cu
0.0000 0.1330 0.6211 S
0.0000 0.2293 0.8970 S
0.0000 0.3674 0.1749 S
0.0000 0.4993 0.4311 S
0.0000 0.5007 0.9311 S
0.0000 0.6326 0.6749 S
0.0000 0.7707 0.3970 S
0.0000 0.8670 0.1211 S
0.5000 0.0028 0.3499 S
0.5000 0.1376 0.1146 S
0.5000 0.2801 0.3975 S
0.5000 0.3696 0.6759 S
0.5000 0.6304 0.1759 S
0.5000 0.7199 0.8975 S
0.5000 0.8624 0.6146 S
0.5000 0.9972 0.8499 S
```

Calculated values
As for the spin magnetization: 17.593 μB per cell.

## two
Density functional theory data (GGA-PBE) for a relaxed NbCr3Cu2S8 crystal.

```
NbCr3Cu2S8
1.0
6.2991 0.0000 0.0000
-0.0318 7.2908 0.0000
-0.9692 -1.6512 12.2673
Nb Cr Cu S
2 6 4 16
Direct
0.0000 0.0000 0.0000 Nb
0.3478 0.5891 0.2990 Nb
0.2959 0.4028 0.5921 Cr
0.5059 0.2622 0.0083 Cr
0.5075 0.7461 0.0061 Cr
0.7660 0.6472 0.5890 Cr
0.7719 0.1513 0.5831 Cr
0.9028 0.8187 0.3006 Cr
0.0289 0.5023 0.9992 Cu
0.2675 0.9061 0.5960 Cu
0.4082 0.0770 0.3021 Cu
0.8917 0.3297 0.2979 Cu
0.0266 0.5515 0.1864 S
0.0417 0.0446 0.1903 S
0.2412 0.8621 0.4074 S
0.2585 0.3489 0.4096 S
0.3368 0.9870 0.9275 S
0.3445 0.4826 0.9233 S
0.4542 0.6715 0.6644 S
0.4607 0.1664 0.6595 S
0.5352 0.3086 0.1922 S
0.5600 0.7953 0.1946 S
0.7388 0.6031 0.4039 S
0.7584 0.0929 0.4009 S
0.8261 0.2460 0.9299 S
0.8288 0.7255 0.9263 S
0.9351 0.9162 0.6537 S
0.9621 0.4152 0.6546 S
```

Calculated values
As for the spin magnetization: 18.005 μB per cell.

Verdict on stability: one comes out on top.